meta-GGA r2SCAN Lu2OsPd, relaxed; crystal system = cubic; theoretical density = 14.2 g/cm3; raw total energy = -155.1 eV for the cell shown; ΔE_f = -71.6 kJ per mole of atoms
1.0
-0.0005 3.3529 3.3530
3.3520 0.0006 3.3519
3.3525 3.3524 0.0001
Lu Os Pd
2 1 1
direct
0.0000 0.0000 0.0000
0.5000 0.5000 0.5000
0.2500 0.2500 0.2500
0.7500 0.7500 0.7500